Entry 1:
{
  "formula": "TaBeB",
  "functional": "r²SCAN",
  "state": "relaxed",
  "e_form_ev_per_atom": -0.71,
  "sg": "P-6m2",
  "lattice_angstrom": [[3.2499, 0.0000, 0.0000], [-1.6250, 2.8145, 0.0000], [0.0000, 0.0000, 3.2461]],
  "species": ["Ta", "Be", "B"],
  "frac_coords": [[0.0000, 0.0000, 0.0000], [0.3333, 0.6667, 0.5000], [0.6667, 0.3333, 0.5000]]
}

Entry 2:
{
  "formula": "Pm2SiPd",
  "functional": "r²SCAN",
  "state": "relaxed",
  "e_form_ev_per_atom": -0.70,
  "sg": "Fm-3m",
  "lattice_angstrom": [[0.0000, 3.6097, 3.6097], [3.6097, 0.0000, 3.6097], [3.6097, 3.6097, 0.0000]],
  "species": ["Pm", "Pm", "Si", "Pd"],
  "frac_coords": [[0.2500, 0.2500, 0.2500], [0.7500, 0.7500, 0.7500], [0.0000, 0.0000, 0.0000], [0.5000, 0.5000, 0.5000]]
}

Entry 3:
{
  "formula": "Lu5Ni2Sb",
  "functional": "r²SCAN",
  "state": "relaxed",
  "e_form_ev_per_atom": -0.60,
  "sg": "I4/mcm",
  "lattice_angstrom": [[-3.6900, 3.6900, 6.5745], [3.6900, -3.6900, 6.5745], [3.6900, 3.6900, -6.5745]],
  "species": ["Lu", "Lu", "Lu", "Lu", "Lu", "Lu", "Lu", "Lu", "Lu", "Lu", "Ni", "Ni", "Ni", "Ni", "Sb", "Sb"],
  "frac_coords": [[0.0000, 0.0000, 0.0000], [0.0203, 0.5203, 0.8127], [0.2076, 0.0203, 0.5000], [0.2924, 0.7924, 0.8127], [0.4797, 0.2924, 0.5000], [0.5000, 0.5000, 0.0000], [0.5203, 0.7076, 0.5000], [0.7076, 0.2076, 0.1873], [0.7924, 0.9797, 0.5000], [0.9797, 0.4797, 0.1873], [0.1322, 0.3678, 0.5000], [0.3678, 0.8678, 0.2355], [0.6322, 0.1322, 0.7645], [0.8678, 0.6322, 0.5000], [0.2500, 0.2500, 0.0000], [0.7500, 0.7500, 0.0000]]
}

Entry 4:
{
  "formula": "Sm3Ga2Sn3",
  "functional": "r²SCAN",
  "state": "relaxed",
  "e_form_ev_per_atom": -0.76,
  "sg": "Cmcm",
  "lattice_angstrom": [[4.9797, -4.0056, 0.0000], [4.9797, 4.0056, 0.0000], [0.0000, 0.0000, 10.0544]],
  "species": ["Sm", "Sm", "Sm", "Sm", "Sm", "Sm", "Ga", "Ga", "Ga", "Ga", "Sn", "Sn", "Sn", "Sn", "Sn", "Sn"],
  "frac_coords": [[0.1413, 0.8587, 0.7500], [0.2986, 0.2986, 0.0000], [0.2986, 0.2986, 0.5000], [0.7014, 0.7014, 0.0000], [0.7014, 0.7014, 0.5000], [0.8587, 0.1413, 0.2500], [0.1807, 0.8193, 0.0432], [0.1807, 0.8193, 0.4568], [0.8193, 0.1807, 0.5432], [0.8193, 0.1807, 0.9568], [0.0056, 0.5950, 0.2500], [0.4050, 0.9944, 0.2500], [0.4715, 0.5285, 0.2500], [0.5285, 0.4715, 0.7500], [0.5950, 0.0056, 0.7500], [0.9944, 0.4050, 0.7500]]
}

Entry 5:
{
  "formula": "BaAl2Te4",
  "functional": "r²SCAN",
  "state": "relaxed",
  "e_form_ev_per_atom": -1.06,
  "sg": "P4/nbm",
  "lattice_angstrom": [[8.6874, 0.0000, 0.0000], [0.0000, 8.6874, 0.0000], [0.0000, 0.0000, 6.7416]],
  "species": ["Ba", "Ba", "Al", "Al", "Al", "Al", "Te", "Te", "Te", "Te", "Te", "Te", "Te", "Te"],
  "frac_coords": [[0.2500, 0.2500, 0.0000], [0.7500, 0.7500, 0.0000], [0.2500, 0.7500, 0.0000], [0.2500, 0.7500, 0.5000], [0.7500, 0.2500, 0.0000], [0.7500, 0.2500, 0.5000], [0.0850, 0.5850, 0.2506], [0.0850, 0.9150, 0.7494], [0.4150, 0.5850, 0.7494], [0.4150, 0.9150, 0.2506], [0.5850, 0.0850, 0.7494], [0.5850, 0.4150, 0.2506], [0.9150, 0.0850, 0.2506], [0.9150, 0.4150, 0.7494]]
}

Entry 6:
{
  "formula": "NdNi2Sn2",
  "functional": "r²SCAN",
  "state": "relaxed",
  "e_form_ev_per_atom": -0.55,
  "sg": "P4/nmm",
  "lattice_angstrom": [[4.3981, 0.0000, 0.0000], [0.0000, 4.3981, 0.0000], [0.0000, 0.0000, 10.2017]],
  "species": ["Nd", "Nd", "Ni", "Ni", "Ni", "Ni", "Sn", "Sn", "Sn", "Sn"],
  "frac_coords": [[0.2500, 0.2500, 0.2400], [0.7500, 0.7500, 0.7600], [0.2500, 0.2500, 0.6286], [0.2500, 0.7500, 0.0000], [0.7500, 0.2500, 0.0000], [0.7500, 0.7500, 0.3714], [0.2500, 0.2500, 0.8744], [0.2500, 0.7500, 0.5000], [0.7500, 0.2500, 0.5000], [0.7500, 0.7500, 0.1256]]
}

Entry 7:
{
  "formula": "Ho2ZnAg",
  "functional": "r²SCAN",
  "state": "relaxed",
  "e_form_ev_per_atom": -0.37,
  "sg": "Fm-3m",
  "lattice_angstrom": [[0.0000, 3.5622, 3.5622], [3.5622, 0.0000, 3.5622], [3.5622, 3.5622, 0.0000]],
  "species": ["Ho", "Ho", "Zn", "Ag"],
  "frac_coords": [[0.2500, 0.2500, 0.2500], [0.7500, 0.7500, 0.7500], [0.0000, 0.0000, 0.0000], [0.5000, 0.5000, 0.5000]]
}

Entry 8:
{
  "formula": "CsHoCdTe3",
  "functional": "r²SCAN",
  "state": "relaxed",
  "e_form_ev_per_atom": -1.29,
  "sg": "Cmcm",
  "lattice_angstrom": [[2.2594, -8.5605, 0.0000], [2.2594, 8.5605, 0.0000], [0.0000, 0.0000, 11.8423]],
  "species": ["Cs", "Cs", "Ho", "Ho", "Cd", "Cd", "Te", "Te", "Te", "Te", "Te", "Te"],
  "frac_coords": [[0.2495, 0.7505, 0.7500], [0.7505, 0.2495, 0.2500], [0.0000, 0.0000, 0.0000], [0.0000, 0.0000, 0.5000], [0.4619, 0.5381, 0.2500], [0.5381, 0.4619, 0.7500], [0.0645, 0.9355, 0.2500], [0.3793, 0.6207, 0.0461], [0.3793, 0.6207, 0.4539], [0.6207, 0.3793, 0.5461], [0.6207, 0.3793, 0.9539], [0.9355, 0.0645, 0.7500]]
}

Copy entry 6 word for word.
{
  "formula": "NdNi2Sn2",
  "functional": "r²SCAN",
  "state": "relaxed",
  "e_form_ev_per_atom": -0.55,
  "sg": "P4/nmm",
  "lattice_angstrom": [[4.3981, 0.0000, 0.0000], [0.0000, 4.3981, 0.0000], [0.0000, 0.0000, 10.2017]],
  "species": ["Nd", "Nd", "Ni", "Ni", "Ni", "Ni", "Sn", "Sn", "Sn", "Sn"],
  "frac_coords": [[0.2500, 0.2500, 0.2400], [0.7500, 0.7500, 0.7600], [0.2500, 0.2500, 0.6286], [0.2500, 0.7500, 0.0000], [0.7500, 0.2500, 0.0000], [0.7500, 0.7500, 0.3714], [0.2500, 0.2500, 0.8744], [0.2500, 0.7500, 0.5000], [0.7500, 0.2500, 0.5000], [0.7500, 0.7500, 0.1256]]
}